Bi3PbWClO8 after structural relaxation. Source: the Materials Project, functional PBE+U.

Values from the calculation:
**Symmetry**: P4mm
**Calculated total energy**: -6.046 eV per atom
**E (MP2020)**: -6.755 eV/atom
**Calculated volume**: 16.125 Å³ per atom

abc: 3.884 3.884 14.968
angles: 90.00 90.00 90.00
Sites, in units of the cell vectors:
Cl  0.500  0.500  0.472
O  0.500  0.000  0.008
O  0.000  0.000  0.137
O  0.000  0.500  0.285
O  0.000  0.500  0.008
O  0.000  0.000  0.879
O  0.500  0.000  0.285
O  0.000  0.500  0.717
O  0.500  0.000  0.717
W  0.000  0.000  0.004
Bi  0.500  0.500  0.798
Bi  0.500  0.500  0.195
Bi  0.000  0.000  0.365
Pb  0.000  0.000  0.629

BiW2Cl8O2 after structural relaxation. Source: the Materials Project, functional PBE+U.

Values from the calculation:
**Symmetry**: P-1
**Calculated total energy**: -4.521 eV per atom
**E (MP2020)**: -5.309 eV/atom
**Calculated volume**: 27.782 Å³ per atom

abc: 7.759 8.705 10.892
angles: 92.20 100.40 92.09
Sites, in units of the cell vectors:
Cl  0.776  0.629  0.213
Cl  0.821  0.977  0.366
Cl  0.293  0.628  0.196
Cl  0.415  0.623  0.605
Cl  0.730  0.828  0.922
Cl  0.896  0.651  0.586
Cl  0.217  0.826  0.917
Cl  0.783  0.174  0.083
Cl  0.224  0.371  0.787
Cl  0.650  0.025  0.636
Cl  0.350  0.975  0.364
Cl  0.585  0.377  0.395
Cl  0.179  0.023  0.634
Cl  0.270  0.172  0.078
Cl  0.707  0.372  0.804
Cl  0.104  0.349  0.414
Bi  0.632  0.677  0.427
Bi  0.368  0.323  0.573
O  0.960  0.104  0.853
O  0.040  0.896  0.147
O  0.522  0.903  0.138
O  0.478  0.097  0.862
W  0.282  0.892  0.149
W  0.783  0.900  0.151
W  0.217  0.100  0.849
W  0.718  0.108  0.851

Li2Co3BiO8 after structural relaxation. Source: the Materials Project, functional PBE+U.

Values from the calculation:
**Symmetry**: R-3m
**Calculated total energy**: -5.726 eV per atom
**E (MP2020)**: -6.470 eV/atom
**Calculated volume**: 10.552 Å³ per atom

abc: 6.081 6.081 6.081
angles: 56.92 56.92 56.92
Sites, in units of the cell vectors:
Li  0.119  0.119  0.119
Li  0.881  0.881  0.881
Co  0.500  0.000  0.500
Co  0.500  0.500  0.000
Co  0.000  0.500  0.500
O  0.714  0.246  0.246
O  0.754  0.286  0.754
O  0.246  0.714  0.246
O  0.286  0.754  0.754
O  0.246  0.246  0.714
O  0.733  0.733  0.733
O  0.754  0.754  0.286
O  0.267  0.267  0.267
Bi  0.500  0.500  0.500

MgCo2Bi4O12 after structural relaxation. Source: the Materials Project, functional PBE+U.

Values from the calculation:
**Symmetry**: P2
**Calculated total energy**: -5.634 eV per atom
**E (MP2020)**: -6.240 eV/atom
**Calculated volume**: 13.568 Å³ per atom

abc: 5.169 5.028 9.921
angles: 90.00 90.00 90.57
Sites, in units of the cell vectors:
Co  0.000  0.000  0.004
Co  0.500  0.500  0.504
Bi  0.000  0.000  0.681
Bi  0.000  0.000  0.327
Bi  0.500  0.500  0.838
Bi  0.500  0.500  0.170
O  0.305  0.281  0.004
O  0.820  0.215  0.504
O  0.347  0.265  0.354
O  0.831  0.212  0.163
O  0.180  0.785  0.504
O  0.653  0.737  0.653
O  0.653  0.735  0.354
O  0.831  0.210  0.845
O  0.695  0.719  0.004
O  0.169  0.788  0.163
O  0.169  0.790  0.845
O  0.347  0.263  0.653
Mg  0.500  0.000  0.503

Mg6CoBiO8 after structural relaxation. Source: the Materials Project, functional PBE+U.

Values from the calculation:
**Symmetry**: P4/mmm
**Calculated total energy**: -5.706 eV per atom
**E (MP2020)**: -6.152 eV/atom
**Calculated volume**: 10.983 Å³ per atom

abc: 8.875 4.450 4.450
angles: 90.00 90.00 90.00
Sites, in units of the cell vectors:
Mg  0.737  0.500  0.000
Mg  0.263  0.000  0.500
Mg  0.500  0.000  0.000
Mg  0.500  0.500  0.500
Mg  0.263  0.500  0.000
Mg  0.737  0.000  0.500
Bi  0.000  0.500  0.500
O  0.733  0.000  0.000
O  0.000  0.000  0.500
O  0.732  0.500  0.500
O  0.268  0.500  0.500
O  0.267  0.000  0.000
O  0.500  0.000  0.500
O  0.000  0.500  0.000
O  0.500  0.500  0.000
Co  0.000  0.000  0.000

MgCo2Bi4O12 after structural relaxation. Source: the Materials Project, functional PBE+U.

Values from the calculation:
**Symmetry**: P2
**Calculated total energy**: -5.547 eV per atom
**E (MP2020)**: -6.153 eV/atom
**Calculated volume**: 13.945 Å³ per atom

abc: 5.135 5.137 10.043
angles: 90.00 90.00 89.96
Sites, in units of the cell vectors:
Co  0.500  0.500  0.503
Co  0.000  0.000  0.997
O  0.809  0.191  0.842
O  0.206  0.826  0.165
O  0.309  0.309  0.659
O  0.207  0.796  0.510
O  0.673  0.705  0.335
O  0.703  0.706  0.990
O  0.793  0.204  0.510
O  0.691  0.691  0.659
O  0.297  0.294  0.990
O  0.327  0.295  0.335
O  0.191  0.809  0.842
O  0.794  0.174  0.165
Bi  0.500  0.500  0.822
Bi  0.000  0.000  0.678
Bi  0.000  0.000  0.354
Bi  0.500  0.500  0.146
Mg  0.500  0.000  0.250